(1)
Density functional theory data (GGA-PBE) for an optimized crystal structure of Pm2GaCu.

The structure in CIF format:
```
data_Pm2GaCu
_chemical_formula_sum 'Pm8 Ga4 Cu4'
_symmetry_space_group_name_H-M 'F m -3 m'
_symmetry_Int_Tables_number 225
_symmetry_space_group_name_Hall '-F 4 2 3'
_cell_length_a 7.263
_cell_length_b 7.263
_cell_length_c 7.263
_cell_angle_alpha 90.00
_cell_angle_beta 90.00
_cell_angle_gamma 90.00
loop_
_atom_site_label
_atom_site_fract_x
_atom_site_fract_y
_atom_site_fract_z
Pm1 0.250 0.250 0.250
Ga1 0.000 0.000 0.000
Cu1 0.000 0.000 0.500
```

=====

(2)
# GGA-PBE GaCuS2, relaxed
# Largest piezoelectric modulus ... 0.1 C/m²
data_GaCuS2
_chemical_formula_sum 'Ga4 Cu4 S8'
_symmetry_space_group_name_H-M 'I -4 2 d'
_symmetry_Int_Tables_number 122
_symmetry_space_group_name_Hall 'I -4 2bw'
_cell_length_a 5.370
_cell_length_b 5.370
_cell_length_c 10.631
_cell_angle_alpha 90.00
_cell_angle_beta 90.00
_cell_angle_gamma 90.00
loop_
_atom_site_label
_atom_site_fract_x
_atom_site_fract_y
_atom_site_fract_z
Ga1 0.000 0.000 0.000
Cu1 0.000 0.000 0.500
S1 0.249 0.750 0.625

=====

(3)
Density functional theory data (GGA-PBE) for an optimized crystal structure of GaCuS2.

The structure in CIF format:
```
data_GaCuS2
_chemical_formula_sum 'Ga3 Cu3 S6'
_symmetry_space_group_name_H-M 'R 3 m'
_symmetry_Int_Tables_number 160
_symmetry_space_group_name_Hall 'R 3 -2"'
_cell_length_a 3.7338
_cell_length_b 3.7338
_cell_length_c 17.6921
_cell_angle_alpha 90.00
_cell_angle_beta 90.00
_cell_angle_gamma 120.00
loop_
_atom_site_label
_atom_site_fract_x
_atom_site_fract_y
_atom_site_fract_z
Ga1 0.0000 0.0000 0.0000
Cu1 0.0000 0.0000 0.1407
S1 0.0000 0.0000 0.2697
S2 0.0000 0.0000 0.7582
```

=====

| no. | ΔE_f (eV/atom) |
| --- | --- |
| 1 | -0.3533 |
| 2 | -0.8287 |
| 3 | -0.6536 |